Record 1
DFT (meta-GGA r2SCAN) results for crystalline K3LiPb4 at its relaxed geometry. Values from VASP.

Summary:
ΔE_f = -2.9 eV/f.u.

Structure (Quantum ESPRESSO input):
```
&SYSTEM
  ibrav = 0, nat = 16, ntyp = 3
/
ATOMIC_SPECIES
K 39.10 K.upf
Li 6.94 Li.upf
Pb 207.20 Pb.upf
ATOMIC_POSITIONS crystal
K 0.1111 0.8889 0.5435
K 0.1111 0.8889 0.9565
K 0.2736 0.7264 0.2500
K 0.7264 0.2736 0.7500
K 0.8889 0.1111 0.0435
K 0.8889 0.1111 0.4565
Li 0.5000 0.5000 0.0000
Li 0.5000 0.5000 0.5000
Pb 0.2390 0.3110 0.7500
Pb 0.3110 0.2390 0.2500
Pb 0.3273 0.6727 0.6029
Pb 0.3273 0.6727 0.8971
Pb 0.6727 0.3273 0.1029
Pb 0.6727 0.3273 0.3971
Pb 0.6890 0.7610 0.7500
Pb 0.7610 0.6890 0.2500
CELL_PARAMETERS angstrom
3.5332 -8.0012 0.0000
3.5332 8.0012 0.0000
0.0000 0.0000 10.3906
```

---

Record 2
DFT (meta-GGA r2SCAN) results for crystalline K7LiSi8 at its relaxed geometry. Values from VASP.

Summary:
ΔE_f = -2.7 eV/f.u.

Structure (Quantum ESPRESSO input):
```
&SYSTEM
  ibrav = 0, nat = 64, ntyp = 3
/
ATOMIC_SPECIES
K 39.10 K.upf
Li 6.94 Li.upf
Si 28.09 Si.upf
ATOMIC_POSITIONS crystal
K 0.0000 0.0000 0.0000
K 0.0000 0.5000 0.5000
K 0.0436 0.2267 0.3105
K 0.0436 0.2733 0.8105
K 0.1895 0.5436 0.2267
K 0.1895 0.9564 0.7267
K 0.2267 0.1895 0.5436
K 0.2267 0.3105 0.0436
K 0.2733 0.6895 0.5436
K 0.2733 0.8105 0.0436
K 0.3105 0.0436 0.2267
K 0.3105 0.4564 0.7267
K 0.4564 0.7267 0.3105
K 0.4564 0.7733 0.8105
K 0.5000 0.0000 0.5000
K 0.5000 0.5000 0.0000
K 0.5436 0.2267 0.1895
K 0.5436 0.2733 0.6895
K 0.6895 0.5436 0.2733
K 0.6895 0.9564 0.7733
K 0.7267 0.1895 0.9564
K 0.7267 0.3105 0.4564
K 0.7733 0.6895 0.9564
K 0.7733 0.8105 0.4564
K 0.8105 0.0436 0.2733
K 0.8105 0.4564 0.7733
K 0.9564 0.7267 0.1895
K 0.9564 0.7733 0.6895
Li 0.0000 0.0000 0.5000
Li 0.0000 0.5000 0.0000
Li 0.5000 0.0000 0.0000
Li 0.5000 0.5000 0.5000
Si 0.0530 0.6978 0.9320
Si 0.0530 0.8022 0.4320
Si 0.0680 0.5530 0.8022
Si 0.0680 0.9470 0.3022
Si 0.1952 0.6952 0.8048
Si 0.1952 0.8048 0.3048
Si 0.1978 0.5680 0.9470
Si 0.1978 0.9320 0.4470
Si 0.3022 0.0680 0.9470
Si 0.3022 0.4320 0.4470
Si 0.3048 0.1952 0.8048
Si 0.3048 0.3048 0.3048
Si 0.4320 0.0530 0.8022
Si 0.4320 0.4470 0.3022
Si 0.4470 0.1978 0.9320
Si 0.4470 0.3022 0.4320
Si 0.5530 0.6978 0.5680
Si 0.5530 0.8022 0.0680
Si 0.5680 0.5530 0.6978
Si 0.5680 0.9470 0.1978
Si 0.6952 0.6952 0.6952
Si 0.6952 0.8048 0.1952
Si 0.6978 0.5680 0.5530
Si 0.6978 0.9320 0.0530
Si 0.8022 0.0680 0.5530
Si 0.8022 0.4320 0.0530
Si 0.8048 0.1952 0.6952
Si 0.8048 0.3048 0.1952
Si 0.9320 0.0530 0.6978
Si 0.9320 0.4470 0.1978
Si 0.9470 0.1978 0.5680
Si 0.9470 0.3022 0.0680
CELL_PARAMETERS angstrom
12.4975 0.0000 0.0000
0.0000 12.4975 0.0000
0.0000 0.0000 12.4975
```

---

Record 3
DFT (meta-GGA r2SCAN) results for crystalline K2Mg2O3 at its relaxed geometry. Values from VASP.

Summary:
ΔE_f = -15.4 eV/f.u.

Structure (Quantum ESPRESSO input):
```
&SYSTEM
  ibrav = 0, nat = 14, ntyp = 3
/
ATOMIC_SPECIES
K 39.10 K.upf
Mg 24.30 Mg.upf
O 16.00 O.upf
ATOMIC_POSITIONS crystal
K 0.1790 0.1301 0.4276
K 0.1790 0.3699 0.9276
K 0.8210 0.6301 0.0724
K 0.8210 0.8699 0.5724
Mg 0.3372 0.6085 0.5756
Mg 0.3372 0.8915 0.0756
Mg 0.6628 0.1085 0.9244
Mg 0.6628 0.3915 0.4244
O 0.0000 0.0000 0.0000
O 0.0000 0.5000 0.5000
O 0.4165 0.6415 0.2937
O 0.4165 0.8585 0.7937
O 0.5835 0.1415 0.2063
O 0.5835 0.3585 0.7063
CELL_PARAMETERS angstrom
5.8539 0.0000 0.0000
0.0000 6.2071 0.0000
-2.5358 0.0000 5.7763
```

---

Record 4
DFT (meta-GGA r2SCAN) results for crystalline K2MgV2O7 at its relaxed geometry. Values from VASP.

Summary:
ΔE_f = -31.4 eV/f.u.

Structure (Quantum ESPRESSO input):
```
&SYSTEM
  ibrav = 0, nat = 48, ntyp = 4
/
ATOMIC_SPECIES
K 39.10 K.upf
Mg 24.30 Mg.upf
V 50.94 V.upf
O 16.00 O.upf
ATOMIC_POSITIONS crystal
K 0.1460 0.1460 0.0000
K 0.1806 0.1806 0.5000
K 0.3194 0.6806 0.0000
K 0.3540 0.6460 0.5000
K 0.6460 0.3540 0.5000
K 0.6806 0.3194 0.0000
K 0.8194 0.8194 0.5000
K 0.8540 0.8540 0.0000
Mg 0.0000 0.5000 0.2500
Mg 0.0000 0.5000 0.7500
Mg 0.5000 0.0000 0.2500
Mg 0.5000 0.0000 0.7500
V 0.1421 0.8579 0.2881
V 0.1421 0.8579 0.7119
V 0.3579 0.3579 0.2119
V 0.3579 0.3579 0.7881
V 0.6421 0.6421 0.2119
V 0.6421 0.6421 0.7881
V 0.8579 0.1421 0.2881
V 0.8579 0.1421 0.7119
O 0.0000 0.0000 0.3456
O 0.0000 0.0000 0.6544
O 0.0888 0.6755 0.3435
O 0.0888 0.6755 0.6565
O 0.1409 0.8591 0.1416
O 0.1409 0.8591 0.8584
O 0.1755 0.4112 0.1565
O 0.1755 0.4112 0.8435
O 0.3245 0.9112 0.3435
O 0.3245 0.9112 0.6565
O 0.3591 0.3591 0.3584
O 0.3591 0.3591 0.6416
O 0.4112 0.1755 0.1565
O 0.4112 0.1755 0.8435
O 0.5000 0.5000 0.1544
O 0.5000 0.5000 0.8456
O 0.5888 0.8245 0.1565
O 0.5888 0.8245 0.8435
O 0.6409 0.6409 0.3584
O 0.6409 0.6409 0.6416
O 0.6755 0.0888 0.3435
O 0.6755 0.0888 0.6565
O 0.8245 0.5888 0.1565
O 0.8245 0.5888 0.8435
O 0.8591 0.1409 0.1416
O 0.8591 0.1409 0.8584
O 0.9112 0.3245 0.3435
O 0.9112 0.3245 0.6565
CELL_PARAMETERS angstrom
8.3803 0.0000 0.0000
0.0000 8.3803 0.0000
0.0000 0.0000 11.3301
```